1.
Computed, not measured: a relaxed Li4MnCr3O8 crystal at the GGA+U level of DFT.

Properties
E = -6.841 eV per atom
Space group = C2/m
Total energy after the MP2020 corrections = -122.616 eV for the cell shown
Total moment = 13.00 Bohr magnetons per cell
Formation energy = -37.28 eV per formula unit
V = 9.28 Å³/atom

Cell and atoms, written as POSCAR:
```
Li4MnCr3O8
1.0
5.179 -2.946 0.000
5.179 2.946 0.000
-3.342 0.000 4.869
Li Mn Cr O
4 1 3 8
direct
0.000 0.000 0.000 Li
0.000 0.500 0.500 Li
0.500 0.000 0.500 Li
0.500 0.500 0.000 Li
0.000 0.000 0.500 Mn
0.000 0.500 0.000 Cr
0.500 0.000 0.000 Cr
0.500 0.500 0.500 Cr
0.232 0.745 0.258 O
0.255 0.768 0.742 O
0.258 0.258 0.775 O
0.262 0.262 0.248 O
0.738 0.738 0.752 O
0.742 0.742 0.225 O
0.745 0.232 0.258 O
0.768 0.255 0.742 O
```



2.
Computed, not measured: a relaxed Li2Mn3CrO8 crystal at the GGA+U level of DFT.

Properties
E = -6.965 eV per atom
Space group = P2_1
Total energy after the MP2020 corrections = -440.051 eV for the cell shown
Total moment = 52.00 Bohr magnetons per cell
Formation energy = -29.47 eV per formula unit
Distance to the lowest polymorph of the same formula = 38 meV/atom
V = 10.00 Å³/atom

Cell and atoms, written as POSCAR:
```
Li2Mn3CrO8
1.0
8.236 0.000 0.000
0.000 8.240 0.000
-0.012 0.000 8.252
Li Mn Cr O
8 12 4 32
direct
0.002 0.000 0.248 Li
0.250 0.247 0.502 Li
0.251 0.751 0.002 Li
0.497 0.999 0.748 Li
0.503 0.499 0.252 Li
0.749 0.251 0.998 Li
0.750 0.747 0.498 Li
0.998 0.500 0.752 Li
0.121 0.870 0.625 Mn
0.126 0.620 0.376 Mn
0.129 0.376 0.126 Mn
0.370 0.623 0.626 Mn
0.374 0.379 0.876 Mn
0.379 0.129 0.125 Mn
0.621 0.629 0.875 Mn
0.626 0.879 0.124 Mn
0.630 0.123 0.374 Mn
0.871 0.876 0.874 Mn
0.874 0.120 0.624 Mn
0.879 0.370 0.375 Mn
0.124 0.125 0.875 Cr
0.376 0.873 0.375 Cr
0.624 0.373 0.625 Cr
0.876 0.625 0.125 Cr
0.107 0.885 0.861 O
0.109 0.106 0.635 O
0.115 0.384 0.362 O
0.116 0.610 0.141 O
0.135 0.634 0.612 O
0.136 0.856 0.390 O
0.139 0.366 0.891 O
0.143 0.141 0.115 O
0.357 0.857 0.615 O
0.361 0.632 0.391 O
0.365 0.143 0.890 O
0.365 0.364 0.112 O
0.383 0.388 0.641 O
0.385 0.614 0.862 O
0.391 0.893 0.135 O
0.393 0.114 0.361 O
0.607 0.614 0.639 O
0.609 0.393 0.865 O
0.615 0.114 0.138 O
0.617 0.888 0.359 O
0.635 0.643 0.110 O
0.635 0.864 0.888 O
0.639 0.132 0.609 O
0.643 0.357 0.385 O
0.857 0.641 0.885 O
0.861 0.866 0.109 O
0.864 0.356 0.610 O
0.865 0.134 0.388 O
0.884 0.110 0.859 O
0.885 0.884 0.638 O
0.891 0.606 0.365 O
0.893 0.385 0.139 O
```